# 1
Material: U5Pb2O22
Method: DFT, GGA-PBE
State: optimized geometry

Results
- DFT formation energy (eV/f.u.) = -71.51
- total energy after the MP2020 corrections (eV per atom) = -8.422
- total magnetization (μB/atom) = 0.207

abc: 6.838 11.534 14.936
angles: 58.18 90.00 90.00
Fractional coordinates of all 58 atoms:
O 0.963 0.840 0.719
O 0.895 0.808 0.122
O 0.985 0.593 0.337
O 0.537 0.840 0.219
O 0.578 0.774 0.998
O 0.979 0.923 0.908
O 0.521 0.923 0.408
O 0.602 0.762 0.849
O 0.165 0.405 0.285
O 0.787 0.327 0.327
O 0.973 0.606 0.077
O 0.336 0.655 0.408
O 0.835 0.595 0.715
O 0.690 0.029 0.987
O 0.898 0.762 0.349
O 0.213 0.673 0.673
O 0.810 0.029 0.487
O 0.836 0.345 0.092
O 0.485 0.407 0.163
O 0.335 0.405 0.785
O 0.473 0.394 0.423
O 0.015 0.407 0.663
O 0.190 0.971 0.513
O 0.398 0.238 0.151
O 0.605 0.808 0.622
O 0.310 0.971 0.013
O 0.395 0.192 0.378
O 0.287 0.673 0.173
O 0.515 0.593 0.837
O 0.021 0.077 0.092
O 0.479 0.077 0.592
O 0.664 0.345 0.592
O 0.463 0.160 0.781
O 0.665 0.595 0.215
O 0.422 0.226 0.002
O 0.713 0.327 0.827
O 0.922 0.774 0.498
O 0.102 0.238 0.651
O 0.527 0.606 0.577
O 0.078 0.226 0.502
O 0.027 0.394 0.923
O 0.037 0.160 0.281
O 0.105 0.192 0.878
O 0.164 0.655 0.908
U 0.993 0.595 0.210
U 0.965 0.807 0.607
U 0.507 0.595 0.710
U 0.000 0.000 0.000
U 0.465 0.193 0.893
U 0.500 0.000 0.500
U 0.493 0.405 0.290
U 0.535 0.807 0.107
U 0.035 0.193 0.393
U 0.007 0.405 0.790
Pb 0.897 0.746 0.901
Pb 0.397 0.254 0.599
Pb 0.603 0.746 0.401
Pb 0.103 0.254 0.099

=====

# 2
Material: UPb3O6
Method: DFT, GGA-PBE
State: optimized geometry

Results
- DFT formation energy (eV/f.u.) = -23.95
- total energy after the MP2020 corrections (eV per atom) = -7.606
- total magnetization (μB/atom) = 0.000

abc: 8.328 12.560 13.902
angles: 90.00 90.00 90.00
Fractional coordinates of all 80 atoms:
Pb 0.750 0.015 0.504
Pb 0.750 0.269 0.352
Pb 0.968 0.505 0.768
Pb 0.750 0.738 0.183
Pb 0.750 0.231 0.852
Pb 0.250 0.731 0.648
Pb 0.032 0.495 0.232
Pb 0.250 0.238 0.317
Pb 0.250 0.262 0.817
Pb 0.750 0.485 0.004
Pb 0.468 0.495 0.232
Pb 0.532 0.505 0.768
Pb 0.750 0.529 0.533
Pb 0.750 0.971 0.033
Pb 0.032 0.005 0.732
Pb 0.968 0.995 0.268
Pb 0.532 0.995 0.268
Pb 0.250 0.471 0.467
Pb 0.468 0.005 0.732
Pb 0.250 0.985 0.496
Pb 0.250 0.515 0.996
Pb 0.250 0.769 0.148
Pb 0.750 0.762 0.683
Pb 0.250 0.029 0.967
O 0.450 0.401 0.068
O 0.250 0.775 0.461
O 0.250 0.084 0.799
O 0.448 0.582 0.392
O 0.250 0.208 0.129
O 0.442 0.206 0.948
O 0.750 0.275 0.039
O 0.538 0.274 0.229
O 0.250 0.915 0.653
O 0.948 0.082 0.108
O 0.058 0.206 0.948
O 0.948 0.418 0.608
O 0.450 0.099 0.568
O 0.050 0.099 0.568
O 0.750 0.792 0.871
O 0.942 0.706 0.552
O 0.462 0.726 0.771
O 0.250 0.292 0.629
O 0.552 0.418 0.608
O 0.038 0.774 0.271
O 0.750 0.584 0.701
O 0.750 0.708 0.371
O 0.558 0.706 0.552
O 0.538 0.226 0.729
O 0.750 0.415 0.847
O 0.058 0.294 0.448
O 0.250 0.725 0.961
O 0.052 0.582 0.392
O 0.552 0.082 0.108
O 0.950 0.599 0.932
O 0.558 0.794 0.052
O 0.250 0.416 0.299
O 0.052 0.918 0.892
O 0.750 0.916 0.201
O 0.550 0.599 0.932
O 0.750 0.085 0.347
O 0.750 0.225 0.539
O 0.038 0.726 0.771
O 0.962 0.226 0.729
O 0.550 0.901 0.432
O 0.250 0.585 0.153
O 0.442 0.294 0.448
O 0.050 0.401 0.068
O 0.962 0.274 0.229
O 0.462 0.774 0.271
O 0.448 0.918 0.892
O 0.950 0.901 0.432
O 0.942 0.794 0.052
U 0.998 0.740 0.414
U 0.498 0.240 0.086
U 0.502 0.760 0.914
U 0.002 0.240 0.086
U 0.998 0.760 0.914
U 0.502 0.740 0.414
U 0.498 0.260 0.586
U 0.002 0.260 0.586

=====

# 3
Material: Y2Pb2O7
Method: DFT, GGA-PBE
State: optimized geometry

Results
- DFT formation energy (eV/f.u.) = -27.90
- total energy after the MP2020 corrections (eV per atom) = -7.535

abc: 7.634 7.634 7.634
angles: 60.00 60.00 60.00
Fractional coordinates of all 22 atoms:
O 0.224 0.224 0.776
O 0.750 0.750 0.750
O 0.026 0.474 0.474
O 0.474 0.474 0.026
O 0.474 0.026 0.474
O 0.500 0.500 0.500
O 0.474 0.026 0.026
O 0.026 0.474 0.026
O 0.776 0.224 0.224
O 0.224 0.776 0.776
O 0.776 0.776 0.224
O 0.776 0.224 0.776
O 0.026 0.026 0.474
O 0.224 0.776 0.224
Pb 0.125 0.125 0.125
Pb 0.625 0.125 0.125
Pb 0.125 0.125 0.625
Pb 0.125 0.625 0.125
Y 0.625 0.625 0.125
Y 0.625 0.125 0.625
Y 0.625 0.625 0.625
Y 0.125 0.625 0.625

=====

Look up the total energy after the MP2020 corrections of the first one. -8.422 eV per atom

=====

What is the DFT formation energy in the first record? -71.51 eV/f.u.

=====

What is the formula in the first record? U5Pb2O22

=====

Which value of total energy after the MP2020 corrections does entry 1 give? -8.422 eV per atom